1.
The following is a PBE calculation of a geometry-optimized Y16Se16F15 structure, from the Materials Project.

Unit cell a=10.023 b=4.136 c=25.683 alpha=90.00 beta=97.65 gamma=90.00
Positions (direct):
Y (0.000, 0.000, 0.000)
Y (0.031, 0.500, 0.621)
Y (0.082, 0.000, 0.250)
Y (0.118, 0.500, 0.868)
Y (0.168, 0.000, 0.496)
Y (0.200, 0.500, 0.118)
Y (0.284, 0.500, 0.367)
Y (0.419, 0.000, 0.740)
Y (0.498, 0.000, 0.993)
Y (0.543, 0.500, 0.619)
Y (0.584, 0.000, 0.243)
Y (0.615, 0.500, 0.875)
Y (0.663, 0.000, 0.497)
Y (0.701, 0.500, 0.125)
Y (0.781, 0.500, 0.377)
Y (0.916, 0.000, 0.751)
Se (0.059, 0.500, 0.425)
Se (0.140, 0.000, 0.692)
Se (0.226, 0.000, 0.943)
Se (0.271, 0.500, 0.568)
Se (0.309, 0.000, 0.193)
Se (0.354, 0.500, 0.816)
Se (0.397, 0.000, 0.441)
Se (0.438, 0.500, 0.068)
Se (0.522, 0.500, 0.317)
Se (0.679, 0.000, 0.801)
Se (0.762, 0.000, 0.050)
Se (0.803, 0.500, 0.677)
Se (0.846, 0.000, 0.302)
Se (0.891, 0.500, 0.925)
Se (0.932, 0.000, 0.549)
Se (0.974, 0.500, 0.175)
F (0.048, 0.500, 0.039)
F (0.058, 0.000, 0.832)
F (0.142, 0.500, 0.286)
F (0.152, 0.000, 0.079)
F (0.224, 0.000, 0.331)
F (0.450, 0.500, 0.705)
F (0.500, 0.000, 0.659)
F (0.531, 0.500, 0.957)
F (0.582, 0.000, 0.911)
F (0.589, 0.000, 0.575)
F (0.618, 0.500, 0.207)
F (0.669, 0.000, 0.161)
F (0.698, 0.500, 0.460)
F (0.750, 0.000, 0.413)
F (0.976, 0.500, 0.786)

- E (MP2020) (eV per atom) = -6.939
- calculated volume (Å³ per atom) = 22.5
- VASP energy (eV per atom) = -6.791
- ΔE_f (eV/atom) = -2.94
- SG = Pm, No. 6

=====

2.
The following is a PBE calculation of a geometry-optimized Si3F structure, from the Materials Project.

Unit cell a=4.229 b=4.229 c=4.229 alpha=60.00 beta=60.00 gamma=60.00
Positions (direct):
Si (0.000, 0.000, 0.000)
Si (0.250, 0.250, 0.250)
Si (0.750, 0.750, 0.750)
F (0.500, 0.500, 0.500)

- E (MP2020) (eV per atom) = -4.846
- calculated volume (Å³ per atom) = 13.4
- VASP energy (eV per atom) = -4.731
- ΔE_f (eV/atom) = -0.30
- SG = Fm-3m, No. 225

=====

3.
The following is a PBE calculation of a geometry-optimized SmF3 structure, from the Materials Project.

Unit cell a=7.035 b=7.035 c=6.989 alpha=90.00 beta=90.00 gamma=120.00
Positions (direct):
Sm (0.000, 0.332, 0.250)
Sm (0.000, 0.668, 0.750)
Sm (0.332, 0.000, 0.250)
Sm (0.332, 0.332, 0.750)
Sm (0.668, 0.000, 0.750)
Sm (0.668, 0.668, 0.250)
F (0.000, 0.000, 0.000)
F (0.000, 0.000, 0.500)
F (0.000, 0.344, 0.583)
F (0.000, 0.344, 0.917)
F (0.000, 0.656, 0.083)
F (0.000, 0.656, 0.417)
F (0.333, 0.667, 0.250)
F (0.333, 0.667, 0.750)
F (0.344, 0.000, 0.583)
F (0.344, 0.000, 0.917)
F (0.344, 0.344, 0.083)
F (0.344, 0.344, 0.417)
F (0.656, 0.000, 0.083)
F (0.656, 0.000, 0.417)
F (0.656, 0.656, 0.583)
F (0.656, 0.656, 0.917)
F (0.667, 0.333, 0.250)
F (0.667, 0.333, 0.750)

- E (MP2020) (eV per atom) = -6.851
- calculated volume (Å³ per atom) = 12.5
- VASP energy (eV per atom) = -6.504
- ΔE_f (eV/atom) = -4.24
- SG = P6_3/mcm, No. 193

=====

Question: Which formula does entry 1 have?
Answer: Y16Se16F15

=====

Question: Which formula does entry 1 have?
Answer: Y16Se16F15